No. 1
Computed, not measured: CsK2AlCl6 after structural relaxation at the PBE-GGA level of DFT.

Results
corrected total energy (MP2020 scheme) = -38.734 eV/cell
formation energy from the elements = -2078.1 meV per atom

abc: 7.8622 7.8622 7.8622
angles: 60.00 60.00 60.00
Positions (direct):
Cs: 0.5000 0.5000 0.5000
K: 0.7500 0.7500 0.7500
K: 0.2500 0.2500 0.2500
Al: 0.0000 0.0000 0.0000
Cl: 0.7894 0.2106 0.2106
Cl: 0.2106 0.2106 0.7894
Cl: 0.2106 0.7894 0.7894
Cl: 0.2106 0.7894 0.2106
Cl: 0.7894 0.2106 0.7894
Cl: 0.7894 0.7894 0.2106

---

No. 2
Computed, not measured: Cs2AlTlCl6 after structural relaxation at the PBE-GGA level of DFT.

Results
corrected total energy (MP2020 scheme) = -39.039 eV/cell
formation energy from the elements = -2004.8 meV per atom

abc: 7.7182 7.7182 7.7182
angles: 60.00 60.00 60.00
Positions (direct):
Cs: 0.7500 0.7500 0.7500
Cs: 0.2500 0.2500 0.2500
Al: 0.0000 0.0000 0.0000
Tl: 0.5000 0.5000 0.5000
Cl: 0.7841 0.2159 0.2159
Cl: 0.2159 0.2159 0.7841
Cl: 0.2159 0.7841 0.7841
Cl: 0.2159 0.7841 0.2159
Cl: 0.7841 0.2159 0.7841
Cl: 0.7841 0.7841 0.2159

---

| no. | E_tot (eV/atom) |
| --- | --- |
| 1 | -3.505 |
| 2 | -3.535 |